! BaW6O18, optimized geometry, DFT r²SCAN; values from VASP
&SYSTEM
  ibrav = 0, nat = 25, ntyp = 3
/
ATOMIC_SPECIES
Ba 137.33 Ba.upf
W 183.84 W.upf
O 16.00 O.upf
ATOMIC_POSITIONS angstrom
Ba 0.000 0.000 0.000
W -1.851 3.205 1.361
W -1.851 3.205 5.162
W 3.701 0.000 1.361
W 3.701 0.000 5.162
W 1.851 3.205 1.361
W 1.851 3.205 5.162
O -1.851 3.205 3.246
O -1.851 3.205 7.076
O 0.000 2.680 1.320
O -1.380 5.071 1.320
O 0.000 2.716 5.181
O -1.349 5.053 5.181
O 2.321 1.340 1.320
O 2.352 1.358 5.181
O 3.701 0.000 3.246
O 3.701 0.000 7.076
O 1.851 3.205 3.246
O 1.851 3.205 7.076
O 1.349 5.053 5.181
O 1.380 5.071 1.320
O 5.050 1.358 5.181
O 3.701 3.695 5.181
O 5.081 1.340 1.320
O 3.701 3.731 1.320
CELL_PARAMETERS angstrom
7.402 0.000 0.000
-3.701 6.411 0.000
0.000 0.000 7.625
! calculated volume = 362 Å³/f.u.
! symmetry = No. 183
! DFT formation energy = -2405 meV/atom
! ΔE to the lowest computed polymorph = 1.7 kJ/mol of atoms